Mg14TiCdO16: relaxed, PBE-GGA.

Cell: 8.6394 8.6394 4.3152 Å, 90.00 90.00 90.00°
Fractional positions:
Mg  0.0000  0.2520  0.0000
Mg  0.0000  0.5000  0.5000
Mg  0.0000  0.7480  0.0000
Mg  0.2457  0.5000  0.0000
Mg  0.2494  0.2494  0.5000
Mg  0.2494  0.7506  0.5000
Mg  0.2520  0.0000  0.0000
Mg  0.5000  0.0000  0.5000
Mg  0.5000  0.2457  0.0000
Mg  0.5000  0.7543  0.0000
Mg  0.7480  0.0000  0.0000
Mg  0.7506  0.2494  0.5000
Mg  0.7506  0.7506  0.5000
Mg  0.7543  0.5000  0.0000
Ti  0.0000  0.0000  0.5000
Cd  0.5000  0.5000  0.5000
O  0.0000  0.0000  0.0000
O  0.0000  0.2517  0.5000
O  0.0000  0.5000  0.0000
O  0.0000  0.7483  0.5000
O  0.2344  0.5000  0.5000
O  0.2502  0.2502  0.0000
O  0.2502  0.7498  0.0000
O  0.2517  0.0000  0.5000
O  0.5000  0.0000  0.0000
O  0.5000  0.2344  0.5000
O  0.5000  0.5000  0.0000
O  0.5000  0.7656  0.5000
O  0.7483  0.0000  0.5000
O  0.7498  0.2502  0.0000
O  0.7498  0.7498  0.0000
O  0.7656  0.5000  0.5000

Values from the calculation:
SG	P4/mmm, No. 123
E_tot	-5.965	eV/atom
spin magnetization	1.8	μB per formula unit
formation energy from the elements	-2.859	eV/atom
distance to the lowest polymorph of the same formula	0.0	meV per atom
volume	322.1	Å³/f.u.